RbW4O12 | Materials Project | PBE with a Hubbard U | optimized geometry; uncorrected energy = -1117.6 eV per cell; space-group type = No. 162; crystal system = trigonal
1.0
7.516 0.000 0.000
-3.758 6.509 0.000
0.000 0.000 46.488
Rb W O
9 36 108
Cartesian
0.000 0.000 0.000
0.000 0.000 3.868
0.000 0.000 7.763
0.000 0.000 11.813
0.000 0.000 19.373
0.000 0.000 27.115
0.000 0.000 34.674
0.000 0.000 38.725
0.000 0.000 42.620
-1.865 3.230 17.434
-1.864 3.229 25.176
-1.867 3.234 32.918
-1.874 3.246 9.686
-1.876 3.250 40.684
-1.877 3.251 1.933
-1.881 3.258 44.555
-1.882 3.259 5.803
-1.884 3.263 36.801
-1.890 3.274 13.569
-1.894 3.280 21.311
-1.893 3.279 29.054
3.730 0.000 17.434
3.729 0.000 25.176
1.864 3.229 21.311
1.865 3.230 29.054
3.735 0.000 32.918
1.867 3.234 13.569
3.748 0.000 9.686
3.752 0.000 40.684
1.876 3.250 5.803
1.874 3.246 36.801
3.754 0.000 1.933
3.761 0.000 44.555
1.881 3.258 1.933
1.877 3.251 44.555
3.763 0.000 5.803
3.768 0.000 36.801
1.884 3.263 9.686
1.882 3.259 40.684
3.781 0.000 13.569
1.890 3.274 32.918
3.787 0.000 21.311
3.786 0.000 29.054
1.893 3.279 17.434
1.894 3.280 25.176
-1.877 3.251 34.868
-1.879 3.254 0.000
-1.879 3.255 3.886
-1.879 3.254 7.763
-1.879 3.255 15.495
-1.879 3.254 19.372
-1.879 3.254 23.244
-1.879 3.254 27.116
-1.879 3.254 30.993
-1.879 3.255 38.725
-1.879 3.254 42.602
-1.881 3.258 11.620
0.001 2.731 1.941
-0.001 2.734 5.821
0.001 2.734 40.667
-0.001 2.731 44.546
-0.002 2.737 36.800
-1.389 5.139 9.688
-1.393 5.143 1.941
-1.390 5.143 5.821
-1.391 5.141 40.667
-1.393 5.144 44.546
0.002 2.737 9.688
-0.006 2.758 13.544
-0.006 2.760 21.295
-0.006 2.761 29.042
-1.370 5.123 17.446
-1.370 5.123 25.193
-1.372 5.125 32.944
-1.387 5.142 36.800
0.006 2.761 17.446
0.006 2.760 25.193
0.006 2.758 32.944
-1.367 5.135 13.544
-1.364 5.134 21.295
-1.364 5.134 29.042
2.365 1.366 1.941
2.368 1.366 5.821
2.367 1.368 40.667
2.365 1.365 44.546
2.371 1.367 36.800
2.369 1.370 9.688
2.391 1.374 13.544
2.394 1.375 21.295
2.394 1.375 29.042
2.388 1.386 17.446
2.387 1.386 25.193
2.385 1.384 32.944
3.754 0.000 34.868
1.877 3.251 11.620
3.758 0.000 0.000
3.758 0.000 3.886
3.757 0.000 7.763
3.758 0.000 15.495
3.758 0.000 19.372
3.758 0.000 23.244
3.758 0.000 27.116
3.758 0.000 30.993
3.759 0.000 38.725
3.757 0.000 42.602
1.879 3.254 0.000
1.879 3.254 3.886
1.879 3.255 7.763
1.879 3.254 15.495
1.879 3.254 19.372
1.879 3.254 23.244
1.879 3.254 27.116
1.879 3.255 30.993
1.879 3.254 38.725
1.879 3.255 42.602
3.762 0.000 11.620
1.881 3.258 34.868
1.373 5.125 13.544
1.370 5.123 21.295
1.370 5.123 29.042
1.364 5.134 17.446
1.364 5.134 25.193
1.367 5.135 32.944
1.389 5.139 36.800
1.387 5.142 9.688
1.392 5.144 1.941
1.391 5.141 5.821
1.390 5.143 40.667
1.393 5.143 44.546
5.122 1.375 17.446
5.122 1.375 25.193
5.125 1.374 32.944
3.752 3.751 13.544
3.752 3.748 21.295
3.752 3.748 29.042
5.145 1.367 9.688
5.130 1.384 13.544
5.128 1.386 21.295
5.128 1.386 29.042
3.764 3.748 17.446
3.764 3.748 25.193
3.764 3.751 32.944
3.756 3.772 36.800
5.150 1.365 1.941
5.149 1.368 5.821
5.148 1.366 40.667
5.151 1.366 44.546
5.147 1.370 36.800
3.760 3.772 9.688
3.759 3.778 1.941
3.757 3.775 5.821
3.759 3.775 40.667
3.757 3.778 44.546

***

Rb4WO5 | Materials Project | PBE with a Hubbard U | optimized geometry; uncorrected energy = -324.5 eV per cell; space-group type = No. 2; crystal system = triclinic
1.0
6.650 0.000 0.000
-1.221 10.780 0.000
-0.746 -1.434 17.875
Rb W O
24 6 30
Cartesian
-0.090 -0.132 3.221
-0.639 5.654 7.442
0.263 2.065 0.071
-0.091 3.473 3.909
0.839 5.715 1.042
0.138 9.674 7.660
0.648 3.134 15.242
1.220 0.295 11.693
1.710 9.678 1.688
1.853 4.406 12.160
2.581 1.333 5.175
2.317 2.496 8.857
2.367 6.850 9.018
2.102 8.014 12.701
2.830 4.940 5.716
2.974 -0.332 16.187
3.463 9.051 6.182
4.035 6.212 2.633
4.545 -0.328 10.215
3.845 3.631 16.833
4.774 5.873 13.966
4.420 7.282 17.804
5.323 3.692 10.433
4.773 9.479 14.654
-0.964 7.498 10.595
0.369 7.561 4.453
1.082 6.712 16.143
3.602 2.634 1.732
4.314 1.785 13.423
5.648 1.849 7.280
-0.647 2.266 12.748
-1.318 8.475 12.171
-0.162 1.281 8.858
-0.424 7.961 2.700
-0.472 5.572 16.515
0.467 3.054 6.833
0.185 6.004 10.435
0.073 8.255 16.541
0.583 8.653 10.250
1.373 6.171 3.699
1.021 9.336 4.515
2.040 1.567 2.195
1.220 7.246 6.184
1.085 5.987 14.400
2.685 3.408 0.274
1.998 5.938 17.601
3.598 3.359 3.476
3.463 2.100 11.691
2.644 7.780 15.681
3.663 0.010 13.360
3.311 3.176 14.176
4.101 0.693 7.625
4.611 1.091 1.334
4.499 3.342 7.440
4.217 6.292 11.042
5.156 3.774 1.360
5.108 1.386 15.176
4.846 8.065 9.017
6.002 0.871 5.704
5.331 7.080 5.128

***

Rb5W8O30 | Materials Project | PBE with a Hubbard U | optimized geometry; uncorrected energy = -563.5 eV per cell; space-group type = No. 2; crystal system = triclinic
1.0
7.454 0.000 0.000
-0.059 10.588 0.000
-3.626 -5.073 18.789
Rb W O
10 16 60
Cartesian
-0.083 4.052 1.844
0.040 6.702 5.743
0.039 4.134 9.371
-0.031 6.848 12.908
0.028 4.072 16.994
3.741 1.443 1.795
3.800 -1.333 5.882
3.731 1.380 9.418
3.729 -1.187 13.046
3.852 1.463 16.945
0.000 0.000 0.000
-1.813 -2.536 9.395
-0.010 0.096 3.899
-1.780 2.764 13.024
0.046 0.206 7.656
2.030 8.024 1.930
-0.094 0.045 14.882
1.874 2.826 5.635
1.914 -2.536 9.395
3.697 5.294 0.000
1.895 2.689 13.154
3.864 5.470 3.907
1.739 -2.509 16.859
3.723 5.309 11.133
5.549 2.751 5.765
3.779 5.418 14.890
-2.256 4.304 11.931
-0.090 0.517 1.868
-1.301 -1.120 8.147
-1.748 -1.357 10.865
-2.579 -3.632 15.763
0.158 7.238 1.380
-1.702 1.647 11.655
-2.234 4.298 14.652
-0.034 3.133 5.344
-0.030 -0.704 5.575
1.126 9.076 0.462
-1.553 -0.863 15.518
-1.259 1.557 14.439
-2.038 -4.049 18.719
1.119 9.094 3.271
0.078 1.157 9.144
-0.008 7.508 9.636
1.451 1.240 4.068
2.233 4.110 0.119
0.003 -0.816 13.321
0.071 3.411 13.046
2.509 6.814 0.465
1.384 1.240 6.756
1.384 -1.138 8.099
2.388 6.642 3.180
-0.154 0.683 16.907
2.379 4.050 4.260
1.932 3.893 7.040
0.293 -3.541 16.813
1.978 6.851 7.959
1.791 -1.336 10.830
3.476 9.056 1.976
1.837 1.622 11.750
1.390 1.464 14.529
3.923 4.832 1.882
1.382 -1.127 15.609
2.386 6.652 10.690
2.386 4.275 12.033
1.261 -1.299 18.324
3.698 2.104 5.743
3.766 6.331 5.468
1.536 1.405 18.670
2.319 4.274 14.721
3.777 -1.993 9.153
3.691 4.358 9.646
2.650 -3.579 15.518
5.807 9.564 0.070
5.028 3.957 4.350
5.323 6.378 3.271
2.644 -3.561 18.327
3.799 6.219 13.214
3.803 2.382 13.445
6.003 1.216 4.138
5.471 3.868 7.134
3.611 -1.724 17.409
6.348 9.147 3.026
5.517 6.871 7.924
5.070 6.635 10.642
3.859 4.998 16.922
6.025 1.211 6.858

***

RbW2O6 | Materials Project | PBE with a Hubbard U | optimized geometry; uncorrected energy = -127.0 eV per cell; space-group type = No. 227; crystal system = cubic
1.0
0.000 5.248 5.248
5.248 0.000 5.248
5.248 5.248 0.000
Rb W O
2 4 12
Cartesian
1.312 1.312 1.312
9.184 9.184 9.184
5.248 2.624 2.624
2.624 5.248 2.624
2.624 2.624 5.248
5.248 5.248 5.248
3.936 3.936 1.980
3.936 1.980 3.936
5.891 3.936 3.936
6.560 6.560 4.604
6.560 4.604 6.560
8.515 6.560 6.560
1.980 3.936 3.936
3.936 5.891 3.936
3.936 3.936 5.891
4.604 6.560 6.560
6.560 8.515 6.560
6.560 6.560 8.515

***

Rb5W18O54 | Materials Project | PBE with a Hubbard U | optimized geometry; energy above the most stable polymorph in this dataset = 0 meV/atom; space-group type = No. 191; crystal system = hexagonal
1.0
7.531 0.000 0.000
-3.765 6.522 0.000
0.000 0.000 23.288
Rb W O
5 18 54
Cartesian
0.000 0.000 0.000
0.000 0.000 3.934
0.000 0.000 8.062
0.000 0.000 15.226
0.000 0.000 19.354
-1.883 3.261 1.939
-1.883 3.261 5.829
-1.883 3.261 9.719
-1.883 3.261 13.569
-1.883 3.261 17.459
-1.883 3.261 21.350
3.765 0.000 1.939
3.765 0.000 5.829
3.765 0.000 9.719
3.765 0.000 13.569
3.765 0.000 17.459
3.765 0.000 21.350
1.883 3.261 1.939
1.883 3.261 5.829
1.883 3.261 9.719
1.883 3.261 13.569
1.883 3.261 17.459
1.883 3.261 21.350
-1.883 3.261 0.000
-1.883 3.261 3.885
-1.883 3.261 7.750
-1.883 3.261 11.644
-1.883 3.261 15.538
-1.883 3.261 19.403
0.000 2.751 1.940
0.000 2.753 5.814
0.000 2.753 17.474
0.000 2.751 21.348
-1.383 5.147 1.940
-1.381 5.145 5.814
-1.381 5.145 17.474
-1.383 5.147 21.348
0.000 2.770 9.686
0.000 2.770 13.602
-1.366 5.137 9.686
-1.366 5.137 13.602
2.382 1.375 1.940
2.384 1.377 5.814
2.384 1.377 17.474
2.382 1.375 21.348
2.399 1.385 9.686
2.399 1.385 13.602
3.765 0.000 0.000
3.765 0.000 3.885
3.765 0.000 7.750
3.765 0.000 11.644
3.765 0.000 15.538
3.765 0.000 19.403
1.883 3.261 0.000
1.883 3.261 3.885
1.883 3.261 7.750
1.883 3.261 11.644
1.883 3.261 15.538
1.883 3.261 19.403
1.366 5.137 9.686
1.366 5.137 13.602
1.383 5.147 1.940
1.381 5.145 5.814
1.381 5.145 17.474
1.383 5.147 21.348
5.132 1.385 9.686
5.132 1.385 13.602
3.765 3.752 9.686
3.765 3.752 13.602
5.149 1.375 1.940
5.146 1.377 5.814
5.146 1.377 17.474
5.149 1.375 21.348
3.765 3.771 1.940
3.765 3.769 5.814
3.765 3.769 17.474
3.765 3.771 21.348